Entry 1:
A relaxed structure of Hg3SeO6. Source: Materials Project, functional PBE-GGA.

```
Hg3SeO6
1.0
7.4276 0.0000 0.0000
3.6837 6.5955 0.0000
0.1121 -0.0201 10.1184
Hg Se O
9 3 18
direct
0.0000 0.0000 0.0000
0.0103 0.4784 0.9893
0.1684 0.1553 0.6877
0.3113 0.8584 0.3498
0.6054 0.9099 0.9086
0.6587 0.1866 0.6401
0.7033 0.6595 0.6207
0.8055 0.8582 0.3036
0.8333 0.3457 0.3480
0.1437 0.6782 0.6539
0.3130 0.3771 0.3172
0.5068 0.3832 0.0448
0.0065 0.9088 0.7259
0.0534 0.6763 0.5024
0.1036 0.5124 0.7450
0.1277 0.1821 0.9252
0.2211 0.2273 0.3781
0.3904 0.6173 0.6476
0.3909 0.7625 0.0709
0.4485 0.7108 0.9362
0.4610 0.8852 0.1195
0.4616 0.2202 0.1709
0.5178 0.3304 0.4135
0.5242 0.9877 0.6835
0.5792 0.2251 0.9117
0.6427 0.7000 0.3790
0.7346 0.3532 0.1017
0.8513 0.3268 0.5997
0.8991 0.7800 0.0530
0.9945 0.0068 0.2944
```

Computed properties:
**Energy above the most stable polymorph in this dataset**: 550 meV per atom
**Space group**: P1, No. 1
**ΔH_f (0 K)**: -0.3277 eV per atom

***

Entry 2:
A relaxed structure of Hg3Se4O5. Source: Materials Project, functional PBE-GGA.

```
Hg3Se4O5
1.0
7.9084 0.0000 0.0000
-2.3381 7.5934 0.0000
-3.3108 -1.7711 8.7317
Hg Se O
6 8 10
direct
0.0136 0.4768 0.2179
0.0158 0.9891 0.2716
0.2705 0.8038 0.5892
0.7295 0.1962 0.4108
0.9842 0.0109 0.7284
0.9864 0.5232 0.7821
0.2215 0.8475 0.8409
0.2402 0.8066 0.3118
0.3478 0.3620 0.5917
0.3727 0.3360 0.1104
0.6273 0.6640 0.8896
0.6522 0.6380 0.4083
0.7598 0.1934 0.6882
0.7785 0.1525 0.1591
0.1720 0.3912 0.0432
0.1831 0.4642 0.5270
0.2097 0.1465 0.5755
0.3733 0.2574 0.2719
0.4307 0.4380 0.8045
0.5693 0.5620 0.1955
0.6267 0.7426 0.7281
0.7903 0.8535 0.4245
0.8169 0.5358 0.4730
0.8280 0.6088 0.9568
```

Computed properties:
**Space group**: P-1, No. 2
**E (MP2020)**: -4.127 eV/atom
**ΔH_f (0 K)**: -0.8243 eV per atom

***

Entry 3:
A relaxed structure of Hg2SeO5. Source: Materials Project, functional PBE-GGA.

```
Hg2SeO5
1.0
9.7914 0.0000 0.0000
0.0000 7.3175 0.0000
-4.8332 0.0000 14.7249
Hg Se O
16 8 40
direct
0.0060 0.1354 0.1233
0.0060 0.3646 0.6233
0.3304 0.1177 0.6441
0.3304 0.3823 0.1441
0.3315 0.6172 0.6421
0.3315 0.8828 0.1421
0.3704 0.1354 0.3877
0.3704 0.3646 0.8877
0.6296 0.6354 0.1123
0.6296 0.8646 0.6123
0.6685 0.1172 0.8579
0.6685 0.3828 0.3579
0.6696 0.6177 0.8559
0.6696 0.8823 0.3559
0.9940 0.6354 0.3767
0.9940 0.8646 0.8767
0.0392 0.1529 0.3862
0.0392 0.3471 0.8862
0.3429 0.6534 0.3777
0.3429 0.8466 0.8777
0.6571 0.1534 0.1223
0.6571 0.3466 0.6223
0.9608 0.6529 0.1138
0.9608 0.8471 0.6138
0.0283 0.6838 0.5620
0.0283 0.8162 0.0620
0.0595 0.2304 0.2903
0.0595 0.2696 0.7903
0.0629 0.0329 0.6231
0.0629 0.4671 0.1231
0.2105 0.0979 0.4554
0.2105 0.4021 0.9554
0.2272 0.6056 0.4383
0.2272 0.8944 0.9383
0.2413 0.1306 0.1629
0.2413 0.3694 0.6629
0.2728 0.6842 0.8009
0.2728 0.8158 0.3009
0.3737 0.0393 0.8277
0.3737 0.4607 0.3277
0.4389 0.6322 0.1505
0.4389 0.8678 0.6505
0.4972 0.7280 0.4508
0.4972 0.7720 0.9508
0.5028 0.2280 0.0492
0.5028 0.2720 0.5492
0.5611 0.1322 0.3495
0.5611 0.3678 0.8495
0.6263 0.5393 0.6723
0.6263 0.9607 0.1723
0.7272 0.1842 0.6991
0.7272 0.3158 0.1991
0.7587 0.6306 0.3371
0.7587 0.8694 0.8371
0.7728 0.1056 0.0617
0.7728 0.3944 0.5617
0.7895 0.5979 0.0446
0.7895 0.9021 0.5446
0.9371 0.5329 0.8769
0.9371 0.9671 0.3769
0.9405 0.7304 0.2097
0.9405 0.7696 0.7097
0.9717 0.1838 0.9380
0.9717 0.3162 0.4380
```

Computed properties:
**Space group**: P2_1/c, No. 14
**E (MP2020)**: -4.526 eV/atom
**ΔH_f (0 K)**: -0.9208 eV per atom

***

Entry 4:
A relaxed structure of Hg3Te2SeO10. Source: Materials Project, functional PBE-GGA.

```
Hg3Te2SeO10
1.0
8.6586 0.0000 0.0000
0.0000 5.5830 0.0000
-3.7443 0.0000 10.7342
Hg Te Se O
6 4 2 20
direct
0.0080 0.0000 0.3721
0.0105 0.0145 0.8842
0.3170 0.9991 0.7020
0.6830 0.4991 0.2980
0.9895 0.5145 0.1158
0.9920 0.5000 0.6279
0.2721 0.4863 0.4475
0.2928 0.5216 0.9430
0.7072 0.0216 0.0570
0.7279 0.9863 0.5525
0.3557 0.9998 0.2175
0.6443 0.4998 0.7825
0.0881 0.3722 0.3139
0.1174 0.6554 0.9880
0.1468 0.6982 0.5145
0.1570 0.3243 0.8084
0.2314 0.8362 0.2744
0.2447 0.2087 0.5377
0.2496 0.1749 0.0990
0.3004 0.8107 0.8572
0.4742 0.1746 0.3345
0.4749 0.8121 0.1687
0.5251 0.3121 0.8313
0.5258 0.6746 0.6655
0.6996 0.3107 0.1428
0.7504 0.6749 0.9010
0.7553 0.7087 0.4623
0.7686 0.3362 0.7256
0.8430 0.8243 0.1916
0.8532 0.1982 0.4855
0.8826 0.1554 0.0120
0.9119 0.8722 0.6861
```

Computed properties:
**Space group**: P2_1, No. 4
**E (MP2020)**: -4.873 eV/atom
**ΔH_f (0 K)**: -1.1125 eV per atom

***

Entry 5:
A relaxed structure of SiHg2O4. Source: Materials Project, functional PBE-GGA.

```
SiHg2O4
1.0
0.0000 5.6124 5.6858
3.3023 0.0000 5.6858
3.3023 5.6124 0.0000
Si Hg O
2 4 8
direct
0.1250 0.1250 0.1250
0.8750 0.8750 0.8750
0.1901 0.5599 0.1901
0.4401 0.8099 0.4401
0.5599 0.1901 0.5599
0.8099 0.4401 0.8099
0.1569 0.2540 0.2760
0.1868 0.7240 0.7460
0.2540 0.1569 0.8132
0.2760 0.8132 0.1569
0.7240 0.1868 0.8431
0.7460 0.8431 0.1868
0.8132 0.2760 0.2540
0.8431 0.7460 0.7240
```

Computed properties:
**Space group**: Fddd, No. 70
**E (MP2020)**: -5.425 eV/atom
**ΔH_f (0 K)**: -1.7361 eV per atom

***

Entry 6:
A relaxed structure of SiHgO3. Source: Materials Project, functional PBE-GGA.

```
SiHgO3
1.0
3.6648 0.0000 0.0000
0.0000 3.6648 0.0000
0.0000 0.0000 3.6648
Si Hg O
1 1 3
direct
0.0000 0.0000 0.0000
0.5000 0.5000 0.5000
0.0000 0.0000 0.5000
0.0000 0.5000 0.0000
0.5000 0.0000 0.0000
```

Computed properties:
**Space group**: Pm-3m, No. 221
**E (MP2020)**: -5.836 eV/atom
**ΔH_f (0 K)**: -1.7212 eV per atom

***

Entry 7:
A relaxed structure of SrHgO2. Source: Materials Project, functional PBE-GGA.

```
SrHgO2
1.0
1.9499 1.1258 6.4147
-1.9499 1.1258 6.4147
0.0000 -2.2516 6.4147
Sr Hg O
1 1 2
direct
0.0000 0.0000 0.0000
0.5000 0.5000 0.5000
0.3960 0.3960 0.3960
0.6040 0.6040 0.6040
```

Computed properties:
**Space group**: R-3m, No. 166
**E (MP2020)**: -5.015 eV/atom
**ΔH_f (0 K)**: -2.0423 eV per atom

***

Entry 8:
A relaxed structure of SrHgO2. Source: Materials Project, functional PBE-GGA.

```
SrHgO2
1.0
3.8998 0.0000 0.0000
-1.9499 3.3774 0.0000
0.0000 0.0000 19.2441
Sr Hg O
3 3 6
direct
0.0000 0.3289 0.3333
0.3289 0.0000 0.6667
0.6711 0.6711 0.0000
0.0000 0.3359 0.8333
0.3359 0.0000 0.1667
0.6641 0.6641 0.5000
0.0043 0.3384 0.9373
0.3341 0.9957 0.2707
0.3384 0.0043 0.0627
0.6616 0.6659 0.6040
0.6659 0.6616 0.3960
0.9957 0.3341 0.7293
```

Computed properties:
**Space group**: P3_221, No. 154
**E (MP2020)**: -5.015 eV/atom
**ΔH_f (0 K)**: -2.0422 eV per atom

***

| no. | V (Å³/f.u.) |
| --- | --- |
| 1 | 165.2 |
| 2 | 262.2 |
| 3 | 131.9 |
| 4 | 259.5 |
| 5 | 105.4 |
| 6 | 49.2 |
| 7 | 84.5 |
| 8 | 84.5 |